# 1
# CaB2H8 (PBE-GGA, optimized geometry)
# ΔE to the lowest computed polymorph (kJ/mol of atoms): 0.4
# Space group: No. 15
# E (MP2020) (eV per cell): -95.48
# Total moment (μB per atom): 0.0001
# Calculated formation energy (kJ/mol of formula units): -505
# Final energy (eV/cell): -92.62
data_CaB2H8
_symmetry_space_group_name_H-M 'P 1'
_symmetry_Int_Tables_number 1
_symmetry_space_group_name_Hall 'P 1'
_cell_length_a 5.805
_cell_length_b 5.805
_cell_length_c 7.754
_cell_angle_alpha 107.95
_cell_angle_beta 107.95
_cell_angle_gamma 99.81
loop_
_atom_site_label
_atom_site_type_symbol
_atom_site_fract_x
_atom_site_fract_y
_atom_site_fract_z
Ca1 Ca 0.142 0.858 0.750
Ca2 Ca 0.858 0.142 0.250
B1 B 0.056 0.328 0.669
B2 B 0.328 0.056 0.169
B3 B 0.672 0.944 0.831
B4 B 0.944 0.672 0.331
H1 H 0.027 0.520 0.239
H2 H 0.128 0.856 0.443
H3 H 0.144 0.872 0.057
H4 H 0.166 0.415 0.579
H5 H 0.214 0.275 0.785
H6 H 0.275 0.214 0.285
H7 H 0.415 0.166 0.079
H8 H 0.480 0.973 0.261
H9 H 0.520 0.027 0.739
H10 H 0.585 0.834 0.921
H11 H 0.725 0.786 0.715
H12 H 0.786 0.725 0.215
H13 H 0.834 0.585 0.421
H14 H 0.856 0.128 0.943
H15 H 0.872 0.144 0.557
H16 H 0.973 0.480 0.761

# 2
# CaB2H3 (PBE-GGA, optimized geometry)
# ΔE to the lowest computed polymorph (kJ/mol of atoms): 0.0
# Space group: No. 14
# E (MP2020) (eV per cell): -107.05
# Total moment (μB per atom): 0.0000
# Calculated formation energy (kJ/mol of formula units): -118
# Final energy (eV/cell): -104.90
data_CaB2H3
_symmetry_space_group_name_H-M 'P 1'
_symmetry_Int_Tables_number 1
_symmetry_space_group_name_Hall 'P 1'
_cell_length_a 3.548
_cell_length_b 3.640
_cell_length_c 16.449
_cell_angle_alpha 90.00
_cell_angle_beta 90.92
_cell_angle_gamma 90.00
loop_
_atom_site_label
_atom_site_type_symbol
_atom_site_fract_x
_atom_site_fract_y
_atom_site_fract_z
Ca1 Ca 0.241 0.025 0.384
Ca2 Ca 0.241 0.475 0.884
Ca3 Ca 0.759 0.525 0.116
Ca4 Ca 0.759 0.975 0.616
B1 B 0.111 0.057 0.749
B2 B 0.111 0.443 0.249
B3 B 0.250 0.557 0.511
B4 B 0.250 0.943 0.011
B5 B 0.750 0.057 0.989
B6 B 0.750 0.443 0.489
B7 B 0.889 0.557 0.751
B8 B 0.889 0.943 0.251
H1 H 0.254 0.629 0.038
H2 H 0.254 0.871 0.538
H3 H 0.272 0.096 0.683
H4 H 0.272 0.404 0.183
H5 H 0.380 0.037 0.797
H6 H 0.380 0.463 0.297
H7 H 0.620 0.537 0.703
H8 H 0.620 0.963 0.203
H9 H 0.728 0.596 0.817
H10 H 0.728 0.904 0.317
H11 H 0.746 0.129 0.462
H12 H 0.746 0.371 0.962

# 3
# Li4Ca2B16H14O35 (PBE-GGA, optimized geometry)
# Space group: No. 15
# E (MP2020) (eV per cell): -1023.14
# Total moment (μB per atom): 0.0000
# Calculated formation energy (kJ/mol of formula units): -16632
# Final energy (eV/cell): -975.05
data_Li4Ca2B16H14O35
_symmetry_space_group_name_H-M 'P 1'
_symmetry_Int_Tables_number 1
_symmetry_space_group_name_Hall 'P 1'
_cell_length_a 10.618
_cell_length_b 10.618
_cell_length_c 20.273
_cell_angle_alpha 93.78
_cell_angle_beta 93.78
_cell_angle_gamma 37.34
loop_
_atom_site_label
_atom_site_type_symbol
_atom_site_fract_x
_atom_site_fract_y
_atom_site_fract_z
Li1 Li 0.010 0.900 0.659
Li2 Li 0.100 0.990 0.841
Li3 Li 0.241 0.388 0.771
Li4 Li 0.388 0.241 0.271
Li5 Li 0.612 0.759 0.729
Li6 Li 0.759 0.612 0.229
Li7 Li 0.900 0.010 0.159
Li8 Li 0.990 0.100 0.341
Ca1 Ca 0.119 0.347 0.092
Ca2 Ca 0.347 0.119 0.592
Ca3 Ca 0.653 0.881 0.408
Ca4 Ca 0.881 0.653 0.908
B1 B 0.049 0.292 0.807
B2 B 0.049 0.375 0.695
B3 B 0.054 0.166 0.211
B4 B 0.068 0.233 0.932
B5 B 0.094 0.559 0.518
B6 B 0.166 0.054 0.711
B7 B 0.205 0.435 0.403
B8 B 0.208 0.705 0.047
B9 B 0.233 0.068 0.432
B10 B 0.234 0.468 0.995
B11 B 0.292 0.049 0.307
B12 B 0.295 0.792 0.453
B13 B 0.375 0.049 0.195
B14 B 0.435 0.205 0.903
B15 B 0.441 0.906 0.982
B16 B 0.468 0.234 0.495
B17 B 0.532 0.766 0.505
B18 B 0.559 0.094 0.018
B19 B 0.565 0.795 0.097
B20 B 0.625 0.951 0.805
B21 B 0.705 0.208 0.547
B22 B 0.708 0.951 0.693
B23 B 0.766 0.532 0.005
B24 B 0.767 0.932 0.568
B25 B 0.792 0.295 0.953
B26 B 0.795 0.565 0.597
B27 B 0.834 0.946 0.289
B28 B 0.906 0.441 0.482
B29 B 0.932 0.767 0.068
B30 B 0.946 0.834 0.789
B31 B 0.951 0.625 0.305
B32 B 0.951 0.708 0.193
H1 H 0.045 0.841 0.362
H2 H 0.087 0.521 0.653
H3 H 0.159 0.955 0.138
H4 H 0.254 0.616 0.814
H5 H 0.258 0.685 0.273
H6 H 0.315 0.742 0.227
H7 H 0.343 0.572 0.462
H8 H 0.374 0.550 0.607
H9 H 0.384 0.746 0.686
H10 H 0.404 0.521 0.684
H11 H 0.428 0.657 0.038
H12 H 0.450 0.626 0.893
H13 H 0.479 0.596 0.816
H14 H 0.479 0.913 0.847
H15 H 0.521 0.087 0.153
H16 H 0.521 0.404 0.184
H17 H 0.550 0.374 0.107
H18 H 0.572 0.343 0.962
H19 H 0.596 0.479 0.316
H20 H 0.616 0.254 0.314
H21 H 0.626 0.450 0.393
H22 H 0.657 0.428 0.538
H23 H 0.685 0.258 0.773
H24 H 0.742 0.315 0.727
H25 H 0.746 0.384 0.186
H26 H 0.841 0.045 0.862
H27 H 0.913 0.479 0.347
H28 H 0.955 0.159 0.638
O1 O 0.010 0.086 0.680
O2 O 0.016 0.347 0.873
O3 O 0.016 0.631 0.010
O4 O 0.024 0.412 0.767
O5 O 0.026 0.822 0.078
O6 O 0.042 0.295 0.435
O7 O 0.048 0.593 0.449
O8 O 0.086 0.010 0.180
O9 O 0.104 0.130 0.782
O10 O 0.130 0.104 0.282
O11 O 0.163 0.455 0.337
O12 O 0.168 0.169 0.176
O13 O 0.168 0.624 0.787
O14 O 0.169 0.168 0.676
O15 O 0.169 0.391 0.674
O16 O 0.178 0.974 0.422
O17 O 0.247 0.704 0.438
O18 O 0.256 0.405 0.925
O19 O 0.286 0.363 0.538
O20 O 0.295 0.042 0.935
O21 O 0.296 0.753 0.062
O22 O 0.306 0.622 0.649
O23 O 0.311 0.538 0.005
O24 O 0.347 0.016 0.373
O25 O 0.363 0.286 0.038
O26 O 0.369 0.984 0.490
O27 O 0.376 0.832 0.713
O28 O 0.378 0.694 0.851
O29 O 0.380 0.620 0.250
O30 O 0.391 0.169 0.174
O31 O 0.405 0.256 0.425
O32 O 0.407 0.952 0.051
O33 O 0.412 0.024 0.267
O34 O 0.455 0.163 0.837
O35 O 0.462 0.689 0.495
O36 O 0.538 0.311 0.505
O37 O 0.545 0.837 0.163
O38 O 0.588 0.976 0.733
O39 O 0.593 0.048 0.949
O40 O 0.595 0.744 0.575
O41 O 0.609 0.831 0.826
O42 O 0.620 0.380 0.750
O43 O 0.622 0.306 0.149
O44 O 0.624 0.168 0.287
O45 O 0.631 0.016 0.510
O46 O 0.637 0.714 0.962
O47 O 0.653 0.984 0.627
O48 O 0.689 0.462 0.995
O49 O 0.694 0.378 0.351
O50 O 0.704 0.247 0.938
O51 O 0.705 0.958 0.065
O52 O 0.714 0.637 0.462
O53 O 0.744 0.595 0.075
O54 O 0.753 0.296 0.562
O55 O 0.822 0.026 0.578
O56 O 0.831 0.609 0.326
O57 O 0.831 0.832 0.324
O58 O 0.832 0.376 0.213
O59 O 0.832 0.831 0.824
O60 O 0.837 0.545 0.663
O61 O 0.870 0.896 0.718
O62 O 0.896 0.870 0.218
O63 O 0.914 0.990 0.820
O64 O 0.952 0.407 0.551
O65 O 0.958 0.705 0.565
O66 O 0.974 0.178 0.922
O67 O 0.976 0.588 0.233
O68 O 0.984 0.369 0.990
O69 O 0.984 0.653 0.127
O70 O 0.990 0.914 0.320

# 4
# CaMgB6H12O17 (PBE-GGA, optimized geometry)
# Space group: No. 13
# E (MP2020) (eV per cell): -497.53
# Total moment (μB per atom): 0.0001
# Calculated formation energy (kJ/mol of formula units): -7743
# Final energy (eV/cell): -474.17
data_CaMgB6H12O17
_symmetry_space_group_name_H-M 'P 1'
_symmetry_Int_Tables_number 1
_symmetry_space_group_name_Hall 'P 1'
_cell_length_a 11.805
_cell_length_b 6.701
_cell_length_c 8.338
_cell_angle_alpha 90.00
_cell_angle_beta 102.11
_cell_angle_gamma 90.00
loop_
_atom_site_label
_atom_site_type_symbol
_atom_site_fract_x
_atom_site_fract_y
_atom_site_fract_z
Ca1 Ca 0.000 0.021 0.250
Ca2 Ca 0.000 0.979 0.750
Mg1 Mg 0.500 0.500 0.000
Mg2 Mg 0.500 0.500 0.500
B1 B 0.116 0.265 0.549
B2 B 0.116 0.735 0.049
B3 B 0.269 0.006 0.655
B4 B 0.269 0.994 0.155
B5 B 0.276 0.211 0.406
B6 B 0.276 0.789 0.906
B7 B 0.724 0.211 0.094
B8 B 0.724 0.789 0.594
B9 B 0.731 0.006 0.845
B10 B 0.731 0.994 0.345
B11 B 0.884 0.265 0.951
B12 B 0.884 0.735 0.451
H1 H 0.060 0.337 0.004
H2 H 0.060 0.663 0.504
H3 H 0.150 0.488 0.209
H4 H 0.150 0.512 0.709
H5 H 0.279 0.472 0.525
H6 H 0.279 0.528 0.025
H7 H 0.401 0.129 0.952
H8 H 0.401 0.871 0.452
H9 H 0.430 0.290 0.239
H10 H 0.430 0.710 0.739
H11 H 0.474 0.151 0.591
H12 H 0.474 0.849 0.091
H13 H 0.526 0.151 0.909
H14 H 0.526 0.849 0.409
H15 H 0.570 0.290 0.261
H16 H 0.570 0.710 0.761
H17 H 0.599 0.129 0.548
H18 H 0.599 0.871 0.048
H19 H 0.721 0.472 0.975
H20 H 0.721 0.528 0.475
H21 H 0.850 0.488 0.291
H22 H 0.850 0.512 0.791
H23 H 0.940 0.337 0.496
H24 H 0.940 0.663 0.996
O1 O 0.009 0.219 0.969
O2 O 0.009 0.781 0.469
O3 O 0.145 0.476 0.595
O4 O 0.145 0.524 0.095
O5 O 0.151 0.228 0.392
O6 O 0.151 0.772 0.892
O7 O 0.176 0.120 0.678
O8 O 0.176 0.880 0.178
O9 O 0.309 0.157 0.252
O10 O 0.309 0.843 0.752
O11 O 0.324 0.048 0.529
O12 O 0.324 0.952 0.029
O13 O 0.332 0.404 0.464
O14 O 0.332 0.596 0.964
O15 O 0.453 0.223 0.909
O16 O 0.453 0.777 0.409
O17 O 0.500 0.380 0.250
O18 O 0.500 0.620 0.750
O19 O 0.547 0.223 0.591
O20 O 0.547 0.777 0.091
O21 O 0.668 0.404 0.036
O22 O 0.668 0.596 0.536
O23 O 0.676 0.048 0.971
O24 O 0.676 0.952 0.471
O25 O 0.691 0.157 0.248
O26 O 0.691 0.843 0.748
O27 O 0.824 0.120 0.822
O28 O 0.824 0.880 0.322
O29 O 0.849 0.228 0.108
O30 O 0.849 0.772 0.608
O31 O 0.855 0.476 0.905
O32 O 0.855 0.524 0.405
O33 O 0.991 0.219 0.531
O34 O 0.991 0.781 0.031

# 5
# CaMgB6H22O22 (PBE-GGA, optimized geometry)
# Space group: No. 15
# E (MP2020) (eV per cell): -652.02
# Total moment (μB per atom): 0.0000
# Calculated formation energy (kJ/mol of formula units): -9536
# Final energy (eV/cell): -621.79
data_CaMgB6H22O22
_symmetry_space_group_name_H-M 'P 1'
_symmetry_Int_Tables_number 1
_symmetry_space_group_name_Hall 'P 1'
_cell_length_a 7.111
_cell_length_b 7.111
_cell_length_c 19.464
_cell_angle_alpha 90.32
_cell_angle_beta 90.32
_cell_angle_gamma 63.27
loop_
_atom_site_label
_atom_site_type_symbol
_atom_site_fract_x
_atom_site_fract_y
_atom_site_fract_z
Ca1 Ca 0.214 0.786 0.750
Ca2 Ca 0.786 0.214 0.250
Mg1 Mg 0.000 0.000 0.000
Mg2 Mg 0.000 0.000 0.500
B1 B 0.053 0.754 0.142
B2 B 0.057 0.140 0.650
B3 B 0.140 0.057 0.150
B4 B 0.246 0.947 0.358
B5 B 0.310 0.579 0.335
B6 B 0.421 0.690 0.165
B7 B 0.579 0.310 0.835
B8 B 0.690 0.421 0.665
B9 B 0.754 0.053 0.642
B10 B 0.860 0.943 0.850
B11 B 0.943 0.860 0.350
B12 B 0.947 0.246 0.858
H1 H 0.055 0.371 0.184
H2 H 0.080 0.480 0.671
H3 H 0.114 0.616 0.044
H4 H 0.116 0.261 0.777
H5 H 0.173 0.656 0.587
H6 H 0.176 0.216 0.563
H7 H 0.216 0.176 0.063
H8 H 0.228 0.301 0.955
H9 H 0.251 0.559 0.513
H10 H 0.261 0.116 0.277
H11 H 0.271 0.390 0.825
H12 H 0.283 0.489 0.946
H13 H 0.301 0.228 0.455
H14 H 0.332 0.412 0.666
H15 H 0.344 0.827 0.913
H16 H 0.371 0.055 0.684
H17 H 0.384 0.886 0.456
H18 H 0.390 0.271 0.325
H19 H 0.412 0.332 0.166
H20 H 0.441 0.749 0.987
H21 H 0.480 0.080 0.171
H22 H 0.489 0.283 0.446
H23 H 0.511 0.717 0.554
H24 H 0.520 0.920 0.829
H25 H 0.559 0.251 0.013
H26 H 0.588 0.668 0.834
H27 H 0.610 0.729 0.675
H28 H 0.616 0.114 0.544
H29 H 0.629 0.945 0.316
H30 H 0.656 0.173 0.087
H31 H 0.668 0.588 0.334
H32 H 0.699 0.772 0.545
H33 H 0.717 0.511 0.054
H34 H 0.729 0.610 0.175
H35 H 0.739 0.884 0.723
H36 H 0.749 0.441 0.487
H37 H 0.772 0.699 0.045
H38 H 0.784 0.824 0.937
H39 H 0.824 0.784 0.437
H40 H 0.827 0.344 0.413
H41 H 0.884 0.739 0.223
H42 H 0.886 0.384 0.956
H43 H 0.920 0.520 0.329
H44 H 0.945 0.629 0.816
O1 O 0.003 0.032 0.837
O2 O 0.020 0.752 0.065
O3 O 0.032 0.003 0.337
O4 O 0.078 0.328 0.823
O5 O 0.093 0.229 0.201
O6 O 0.099 0.635 0.339
O7 O 0.109 0.136 0.078
O8 O 0.136 0.109 0.578
O9 O 0.187 0.694 0.539
O10 O 0.188 0.533 0.668
O11 O 0.229 0.093 0.701
O12 O 0.248 0.980 0.435
O13 O 0.279 0.609 0.158
O14 O 0.301 0.375 0.978
O15 O 0.306 0.813 0.961
O16 O 0.328 0.078 0.323
O17 O 0.365 0.901 0.161
O18 O 0.371 0.454 0.823
O19 O 0.375 0.301 0.478
O20 O 0.391 0.721 0.342
O21 O 0.454 0.371 0.323
O22 O 0.467 0.812 0.832
O23 O 0.533 0.188 0.168
O24 O 0.546 0.629 0.677
O25 O 0.609 0.279 0.658
O26 O 0.625 0.699 0.522
O27 O 0.629 0.546 0.177
O28 O 0.635 0.099 0.839
O29 O 0.672 0.922 0.677
O30 O 0.694 0.187 0.039
O31 O 0.699 0.625 0.022
O32 O 0.721 0.391 0.842
O33 O 0.752 0.020 0.565
O34 O 0.771 0.907 0.299
O35 O 0.812 0.467 0.332
O36 O 0.813 0.306 0.461
O37 O 0.864 0.891 0.422
O38 O 0.891 0.864 0.922
O39 O 0.901 0.365 0.661
O40 O 0.907 0.771 0.799
O41 O 0.922 0.672 0.177
O42 O 0.968 0.997 0.663
O43 O 0.980 0.248 0.935
O44 O 0.997 0.968 0.163

# 6
# Ca2BHN2 (PBE-GGA, optimized geometry)
# Space group: No. 62
# E (MP2020) (eV per cell): -150.85
# Calculated formation energy (kJ/mol of formula units): -671
# Final energy (eV/cell): -147.96
data_Ca2BHN2
_symmetry_space_group_name_H-M 'P 1'
_symmetry_Int_Tables_number 1
_symmetry_space_group_name_Hall 'P 1'
_cell_length_a 9.211
_cell_length_b 3.681
_cell_length_c 10.010
_cell_angle_alpha 90.00
_cell_angle_beta 90.00
_cell_angle_gamma 90.00
loop_
_atom_site_label
_atom_site_type_symbol
_atom_site_fract_x
_atom_site_fract_y
_atom_site_fract_z
Ca1 Ca 0.027 0.250 0.156
Ca2 Ca 0.177 0.250 0.524
Ca3 Ca 0.323 0.750 0.024
Ca4 Ca 0.473 0.750 0.656
Ca5 Ca 0.527 0.250 0.344
Ca6 Ca 0.677 0.250 0.976
Ca7 Ca 0.823 0.750 0.476
Ca8 Ca 0.973 0.750 0.844
B1 B 0.234 0.250 0.824
B2 B 0.266 0.750 0.324
B3 B 0.734 0.250 0.676
B4 B 0.766 0.750 0.176
H1 H 0.041 0.750 0.603
H2 H 0.459 0.250 0.103
H3 H 0.541 0.750 0.897
H4 H 0.959 0.250 0.397
N1 N 0.152 0.250 0.936
N2 N 0.179 0.750 0.217
N3 N 0.321 0.250 0.717
N4 N 0.348 0.750 0.436
N5 N 0.652 0.250 0.564
N6 N 0.679 0.750 0.283
N7 N 0.821 0.250 0.783
N8 N 0.848 0.750 0.064

# 7
# CaB2H10N2 (PBE-GGA, optimized geometry)
# Space group: No. 5
# E (MP2020) (eV per cell): -73.11
# Total moment (μB per atom): 0.0000
# Calculated formation energy (kJ/mol of formula units): -690
# Final energy (eV/cell): -72.39
data_CaB2H10N2
_symmetry_space_group_name_H-M 'P 1'
_symmetry_Int_Tables_number 1
_symmetry_space_group_name_Hall 'P 1'
_cell_length_a 5.052
_cell_length_b 5.052
_cell_length_c 6.354
_cell_angle_alpha 93.07
_cell_angle_beta 93.07
_cell_angle_gamma 52.55
loop_
_atom_site_label
_atom_site_type_symbol
_atom_site_fract_x
_atom_site_fract_y
_atom_site_fract_z
Ca1 Ca 0.000 0.000 0.000
B1 B 0.300 0.366 0.790
B2 B 0.634 0.700 0.210
H1 H 0.137 0.140 0.582
H2 H 0.242 0.613 0.705
H3 H 0.297 0.414 0.985
H4 H 0.387 0.758 0.295
H5 H 0.516 0.174 0.312
H6 H 0.586 0.703 0.015
H7 H 0.587 0.131 0.744
H8 H 0.826 0.484 0.688
H9 H 0.860 0.863 0.418
H10 H 0.869 0.413 0.256
N1 N 0.064 0.278 0.720
N2 N 0.722 0.936 0.280